[1]
Material: MgCd2Co4O8
Method: DFT, GGA+U
State: relaxed

Computed properties:
* calculated total energy: -5.318 eV per atom
* relative energy among the computed polymorphs: 5.9 meV/atom

Geometry as POSCAR:
```
MgCd2Co4O8
1.0
5.922 0.000 0.000
-0.469 5.931 0.000
-2.835 -1.925 4.949
Mg Cd Co O
1 2 4 8
direct
0.000 0.000 0.000 Mg
0.148 0.492 0.292 Cd
0.856 0.503 0.736 Cd
0.018 0.999 0.511 Co
0.507 0.993 0.013 Co
0.509 0.991 0.491 Co
0.511 0.494 0.010 Co
0.220 0.177 0.418 O
0.244 0.217 0.942 O
0.286 0.745 0.066 O
0.313 0.826 0.624 O
0.727 0.179 0.391 O
0.738 0.249 0.941 O
0.776 0.772 0.070 O
0.806 0.811 0.586 O
```

[2]
Material: MgCd2Co4O8
Method: DFT, GGA+U
State: relaxed

Computed properties:
* calculated total energy: -5.238 eV per atom
* relative energy among the computed polymorphs: 86.3 meV/atom

Geometry as POSCAR:
```
MgCd2Co4O8
1.0
5.899 0.000 0.000
-0.136 6.200 0.000
-2.877 -3.100 4.689
Mg Cd Co O
1 2 4 8
direct
0.000 0.000 0.000 Mg
0.056 0.555 0.110 Cd
0.704 0.702 0.405 Cd
0.391 0.136 0.780 Co
0.391 0.644 0.780 Co
0.481 0.185 0.390 Co
0.910 0.205 0.392 Co
0.155 0.873 0.756 O
0.174 0.382 0.353 O
0.180 0.971 0.353 O
0.190 0.394 0.800 O
0.587 0.298 0.190 O
0.601 0.882 0.754 O
0.606 0.892 0.190 O
0.611 0.405 0.798 O
```

[3]
Material: MgCd2Co2O6
Method: DFT, GGA+U
State: relaxed

Computed properties:
* calculated total energy: -5.136 eV per atom
* relative energy among the computed polymorphs: 30.9 meV/atom

Geometry as POSCAR:
```
MgCd2Co2O6
1.0
5.351 0.000 0.000
-2.675 4.635 0.000
-2.668 -1.546 4.885
Mg Cd Co O
1 2 2 6
direct
0.000 0.000 0.000 Mg
0.430 0.216 0.645 Cd
0.897 0.449 0.345 Cd
0.294 0.647 0.942 Co
0.642 0.821 0.463 Co
0.075 0.227 0.713 O
0.220 0.446 0.206 O
0.432 0.986 0.206 O
0.486 0.849 0.714 O
0.759 0.773 0.205 O
0.866 0.638 0.714 O
```

[4]
Material: CdCoO3
Method: DFT, GGA+U
State: relaxed

Computed properties:
* calculated total energy: -4.934 eV per atom

Geometry as POSCAR:
```
CdCoO3
1.0
5.315 0.000 0.000
0.000 7.589 0.000
0.000 0.000 5.389
Cd Co O
4 4 12
direct
0.040 0.250 0.006 Cd
0.460 0.750 0.506 Cd
0.540 0.250 0.494 Cd
0.960 0.750 0.994 Cd
0.000 0.000 0.500 Co
0.000 0.500 0.500 Co
0.500 0.000 0.000 Co
0.500 0.500 0.000 Co
0.034 0.750 0.404 O
0.228 0.550 0.814 O
0.228 0.950 0.814 O
0.272 0.050 0.314 O
0.272 0.450 0.314 O
0.466 0.250 0.904 O
0.534 0.750 0.096 O
0.728 0.550 0.686 O
0.728 0.950 0.686 O
0.772 0.050 0.186 O
0.772 0.450 0.186 O
0.966 0.250 0.596 O
```

[5]
Material: CdCo2O4
Method: DFT, GGA+U
State: relaxed

Computed properties:
* calculated total energy: -5.448 eV per atom
* relative energy among the computed polymorphs: 13.4 meV/atom

Geometry as POSCAR:
```
CdCo2O4
1.0
5.715 0.000 0.000
0.000 11.009 0.000
0.000 0.000 4.950
Cd Co O
4 8 16
direct
0.250 0.250 0.039 Cd
0.250 0.750 0.368 Cd
0.750 0.250 0.632 Cd
0.750 0.750 0.961 Cd
0.000 0.000 0.500 Co
0.000 0.500 0.500 Co
0.250 0.506 0.996 Co
0.250 0.994 0.996 Co
0.500 0.000 0.500 Co
0.500 0.500 0.500 Co
0.750 0.006 0.004 Co
0.750 0.494 0.004 Co
0.001 0.595 0.167 O
0.001 0.905 0.167 O
0.250 0.087 0.325 O
0.250 0.413 0.325 O
0.250 0.591 0.658 O
0.250 0.909 0.658 O
0.499 0.595 0.167 O
0.499 0.905 0.167 O
0.501 0.095 0.833 O
0.501 0.405 0.833 O
0.750 0.091 0.342 O
0.750 0.409 0.342 O
0.750 0.587 0.675 O
0.750 0.913 0.675 O
0.999 0.095 0.833 O
0.999 0.405 0.833 O
```

[6]
Material: CdCo2O4
Method: DFT, GGA+U
State: relaxed

Computed properties:
* calculated total energy: -5.377 eV per atom
* relative energy among the computed polymorphs: 83.9 meV/atom

Geometry as POSCAR:
```
CdCo2O4
1.0
5.800 0.000 0.000
-0.077 5.861 0.000
-2.853 -2.854 4.864
Cd Co O
2 4 8
direct
0.129 0.386 0.254 Cd
0.871 0.614 0.746 Cd
0.000 0.000 0.500 Co
0.500 0.000 0.000 Co
0.500 0.000 0.500 Co
0.500 0.500 0.000 Co
0.253 0.240 0.954 O
0.271 0.230 0.536 O
0.279 0.812 0.559 O
0.301 0.759 0.029 O
0.699 0.241 0.971 O
0.721 0.188 0.441 O
0.729 0.770 0.464 O
0.747 0.760 0.046 O
```

[7]
Material: CdCo2O4
Method: DFT, GGA+U
State: relaxed

Computed properties:
* calculated total energy: -5.355 eV per atom
* relative energy among the computed polymorphs: 106.3 meV/atom

Geometry as POSCAR:
```
CdCo2O4
1.0
5.115 0.000 0.000
0.000 10.997 0.000
-0.007 0.000 5.955
Cd Co O
4 8 16
direct
0.025 0.250 0.244 Cd
0.353 0.750 0.254 Cd
0.647 0.250 0.746 Cd
0.975 0.750 0.756 Cd
0.011 0.015 0.750 Co
0.011 0.485 0.750 Co
0.500 0.000 0.000 Co
0.500 0.000 0.500 Co
0.500 0.500 0.000 Co
0.500 0.500 0.500 Co
0.989 0.515 0.250 Co
0.989 0.985 0.250 Co
0.165 0.604 0.999 O
0.165 0.896 0.999 O
0.166 0.604 0.505 O
0.166 0.896 0.505 O
0.323 0.088 0.249 O
0.323 0.412 0.249 O
0.337 0.099 0.750 O
0.337 0.401 0.750 O
0.663 0.599 0.250 O
0.663 0.901 0.250 O
0.677 0.588 0.751 O
0.677 0.912 0.751 O
0.834 0.104 0.495 O
0.834 0.396 0.495 O
0.835 0.104 0.001 O
0.835 0.396 0.001 O
```

[8]
Material: CdCoO3
Method: DFT, GGA+U
State: relaxed

Computed properties:
* calculated total energy: -4.974 eV per atom

Geometry as POSCAR:
```
CdCoO3
1.0
2.539 1.466 5.003
-2.539 1.466 5.003
0.000 -2.931 5.003
Cd Co O
2 2 6
direct
0.133 0.133 0.133 Cd
0.867 0.867 0.867 Cd
0.337 0.337 0.337 Co
0.663 0.663 0.663 Co
0.059 0.468 0.683 O
0.317 0.941 0.532 O
0.468 0.683 0.059 O
0.532 0.317 0.941 O
0.683 0.059 0.468 O
0.941 0.532 0.317 O
```

[9]
Material: CdCo2O4
Method: DFT, GGA+U
State: relaxed

Computed properties:
* calculated total energy: -5.368 eV per atom
* relative energy among the computed polymorphs: 93.8 meV/atom

Geometry as POSCAR:
```
CdCo2O4
1.0
-3.144 3.144 4.223
3.144 -3.144 4.223
3.144 3.144 -4.223
Cd Co O
2 4 8
direct
0.375 0.625 0.750 Cd
0.625 0.375 0.250 Cd
0.000 0.000 0.000 Co
0.000 0.000 0.500 Co
0.000 0.500 0.000 Co
0.500 0.000 0.500 Co
0.194 0.230 0.964 O
0.230 0.194 0.464 O
0.230 0.766 0.036 O
0.234 0.770 0.464 O
0.766 0.230 0.536 O
0.770 0.234 0.964 O
0.770 0.806 0.536 O
0.806 0.770 0.036 O
```

[10]
Material: CdCo2O4
Method: DFT, GGA+U
State: relaxed

Computed properties:
* calculated total energy: -5.461 eV per atom
* relative energy among the computed polymorphs: 0.0 meV/atom

Geometry as POSCAR:
```
CdCo2O4
1.0
0.000 4.230 4.230
4.230 0.000 4.230
4.230 4.230 0.000
Cd Co O
2 4 8
direct
0.125 0.125 0.125 Cd
0.875 0.875 0.875 Cd
0.000 0.500 0.500 Co
0.500 0.000 0.500 Co
0.500 0.500 0.000 Co
0.500 0.500 0.500 Co
0.271 0.271 0.271 O
0.271 0.271 0.687 O
0.271 0.687 0.271 O
0.313 0.729 0.729 O
0.687 0.271 0.271 O
0.729 0.313 0.729 O
0.729 0.729 0.313 O
0.729 0.729 0.729 O
```

[11]
Material: CdCo2O4
Method: DFT, GGA+U
State: relaxed

Computed properties:
* calculated total energy: -5.368 eV per atom
* relative energy among the computed polymorphs: 93.1 meV/atom

Geometry as POSCAR:
```
CdCo2O4
1.0
5.067 0.000 0.000
0.074 5.909 0.000
0.015 0.177 11.009
Cd Co O
4 8 16
direct
0.000 0.000 0.000 Cd
0.053 0.483 0.501 Cd
0.382 0.493 0.000 Cd
0.671 0.988 0.500 Cd
0.017 0.495 0.762 Co
0.018 0.490 0.240 Co
0.033 0.989 0.739 Co
0.034 0.989 0.261 Co
0.524 0.241 0.246 Co
0.525 0.241 0.750 Co
0.525 0.741 0.750 Co
0.528 0.741 0.256 Co
0.178 0.745 0.156 O
0.188 0.259 0.856 O
0.192 0.762 0.853 O
0.202 0.242 0.138 O
0.339 0.494 0.664 O
0.340 0.486 0.337 O
0.357 0.992 0.347 O
0.357 0.996 0.653 O
0.693 0.485 0.847 O
0.694 0.498 0.153 O
0.712 0.991 0.835 O
0.712 0.993 0.164 O
0.847 0.739 0.365 O
0.860 0.222 0.640 O
0.861 0.719 0.650 O
0.874 0.244 0.344 O
```

[12]
Material: CdCoO3
Method: DFT, GGA+U
State: relaxed

Computed properties:
* calculated total energy: -4.988 eV per atom

Geometry as POSCAR:
```
CdCoO3
1.0
5.116 -4.539 0.000
5.116 4.539 0.000
-0.539 0.000 5.103
Cd Co O
4 4 12
direct
0.099 0.324 0.275 Cd
0.324 0.099 0.775 Cd
0.676 0.901 0.225 Cd
0.901 0.676 0.725 Cd
0.241 0.759 0.250 Co
0.423 0.577 0.750 Co
0.577 0.423 0.250 Co
0.759 0.241 0.750 Co
0.013 0.241 0.859 O
0.187 0.599 0.554 O
0.241 0.013 0.359 O
0.326 0.488 0.063 O
0.401 0.813 0.946 O
0.488 0.326 0.563 O
0.512 0.674 0.437 O
0.599 0.187 0.054 O
0.674 0.512 0.937 O
0.759 0.987 0.641 O
0.813 0.401 0.446 O
0.987 0.759 0.141 O
```

[13]
Material: CdCoP4O12
Method: DFT, GGA+U
State: relaxed

Computed properties:
* calculated total energy: -6.818 eV per atom

Geometry as POSCAR:
```
CdCoP4O12
1.0
6.108 -4.339 0.000
6.108 4.339 0.000
-4.804 0.000 8.910
Cd Co P O
2 2 8 24
direct
0.048 0.952 0.750 Cd
0.952 0.048 0.250 Cd
0.000 0.500 0.500 Co
0.500 0.000 0.000 Co
0.266 0.719 0.025 P
0.281 0.734 0.475 P
0.307 0.312 0.803 P
0.312 0.307 0.303 P
0.688 0.693 0.697 P
0.693 0.688 0.197 P
0.719 0.266 0.525 P
0.734 0.281 0.975 P
0.091 0.820 0.080 O
0.127 0.297 0.327 O
0.180 0.909 0.420 O
0.193 0.350 0.657 O
0.197 0.694 0.574 O
0.245 0.493 0.940 O
0.297 0.127 0.827 O
0.304 0.537 0.336 O
0.306 0.803 0.926 O
0.350 0.193 0.157 O
0.463 0.696 0.164 O
0.493 0.245 0.440 O
0.507 0.755 0.560 O
0.537 0.304 0.836 O
0.650 0.807 0.843 O
0.694 0.197 0.074 O
0.696 0.463 0.664 O
0.703 0.873 0.173 O
0.755 0.507 0.060 O
0.803 0.306 0.426 O
0.807 0.650 0.343 O
0.820 0.091 0.580 O
0.873 0.703 0.673 O
0.909 0.180 0.920 O
```

[14]
Material: VCdCoO5
Method: DFT, GGA+U
State: relaxed

Computed properties:
* calculated total energy: -6.133 eV per atom

Geometry as POSCAR:
```
VCdCoO5
1.0
8.008 0.000 0.000
0.000 5.941 0.000
0.000 0.000 8.841
V Cd Co O
4 4 4 20
direct
0.152 0.250 0.182 V
0.348 0.750 0.682 V
0.652 0.250 0.318 V
0.848 0.750 0.818 V
0.134 0.250 0.819 Cd
0.366 0.750 0.319 Cd
0.634 0.250 0.681 Cd
0.866 0.750 0.181 Cd
0.000 0.000 0.500 Co
0.000 0.500 0.500 Co
0.500 0.000 0.000 Co
0.500 0.500 0.000 Co
0.006 0.250 0.040 O
0.119 0.250 0.573 O
0.134 0.005 0.294 O
0.134 0.495 0.294 O
0.151 0.750 0.593 O
0.349 0.250 0.093 O
0.366 0.505 0.794 O
0.366 0.995 0.794 O
0.381 0.750 0.073 O
0.494 0.750 0.540 O
0.506 0.250 0.460 O
0.619 0.250 0.927 O
0.634 0.005 0.206 O
0.634 0.495 0.206 O
0.651 0.750 0.907 O
0.849 0.250 0.407 O
0.866 0.505 0.706 O
0.866 0.995 0.706 O
0.881 0.750 0.427 O
0.994 0.750 0.960 O
```

[15]
Material: Cs2Cr4CdH4O16
Method: DFT, GGA+U
State: relaxed

Computed properties:
* calculated total energy: -5.941 eV per atom

Geometry as POSCAR:
```
Cs2Cr4CdH4O16
1.0
7.710 0.000 0.000
-1.208 8.043 0.000
-3.697 -0.721 7.251
Cs Cr Cd H O
2 4 1 4 16
direct
0.232 0.328 0.259 Cs
0.768 0.672 0.741 Cs
0.215 0.345 0.770 Cr
0.236 0.825 0.502 Cr
0.764 0.175 0.498 Cr
0.785 0.655 0.230 Cr
0.500 0.000 0.000 Cd
0.262 0.694 0.992 H
0.313 0.788 0.182 H
0.687 0.212 0.818 H
0.738 0.306 0.008 H
0.004 0.284 0.550 O
0.168 0.485 0.886 O
0.217 0.008 0.430 O
0.267 0.182 0.890 O
0.280 0.807 0.052 O
0.328 0.722 0.394 O
0.381 0.839 0.727 O
0.396 0.424 0.731 O
0.604 0.576 0.269 O
0.619 0.161 0.273 O
0.672 0.278 0.606 O
0.720 0.193 0.948 O
0.733 0.818 0.110 O
0.783 0.992 0.570 O
0.832 0.515 0.114 O
0.996 0.716 0.450 O
```